[1]
Compound: NaSnPCO7
Source: Materials Project
Functional: GGA-PBE
Structure: relaxed

## Properties
E above lowest polymorph   1.1 kJ/mol of atoms
Maximum piezoelectric response   0.368 C/m2
Magnetic moment   0.00 μB/f.u.

abc: 5.320 6.614 9.337
angles: 90.00 92.40 90.00
Element x y z (fractional)
Na (0.239, 0.000, 0.284)
Na (0.761, 0.500, 0.716)
Sn (0.218, 0.215, 0.842)
Sn (0.782, 0.715, 0.158)
P (0.275, 0.723, 0.932)
P (0.725, 0.223, 0.068)
C (0.276, 0.239, 0.576)
C (0.724, 0.739, 0.424)
O (0.051, 0.236, 0.636)
O (0.138, 0.735, 0.076)
O (0.194, 0.536, 0.843)
O (0.212, 0.906, 0.836)
O (0.308, 0.234, 0.446)
O (0.435, 0.212, 0.031)
O (0.467, 0.243, 0.677)
O (0.533, 0.743, 0.323)
O (0.565, 0.712, 0.969)
O (0.692, 0.734, 0.554)
O (0.788, 0.406, 0.164)
O (0.806, 0.036, 0.157)
O (0.862, 0.235, 0.924)
O (0.949, 0.736, 0.364)

[2]
Compound: CrN2
Source: Materials Project
Functional: GGA-PBE
Structure: relaxed

## Properties
Magnetic moment   0.03 μB/f.u.

abc: 16.483 16.483 9.158
angles: 90.00 90.00 101.42
Element x y z (fractional)
Cr (0.068, 0.395, 0.064)
Cr (0.068, 0.395, 0.436)
Cr (0.077, 0.205, 0.561)
Cr (0.077, 0.205, 0.939)
Cr (0.118, 0.882, 0.562)
Cr (0.118, 0.882, 0.938)
Cr (0.129, 0.586, 0.564)
Cr (0.129, 0.586, 0.936)
Cr (0.205, 0.077, 0.061)
Cr (0.205, 0.077, 0.439)
Cr (0.244, 0.756, 0.064)
Cr (0.244, 0.756, 0.436)
Cr (0.395, 0.068, 0.564)
Cr (0.395, 0.068, 0.936)
Cr (0.414, 0.871, 0.564)
Cr (0.414, 0.871, 0.936)
Cr (0.586, 0.129, 0.064)
Cr (0.586, 0.129, 0.436)
Cr (0.605, 0.932, 0.064)
Cr (0.605, 0.932, 0.436)
Cr (0.756, 0.244, 0.564)
Cr (0.756, 0.244, 0.936)
Cr (0.795, 0.923, 0.561)
Cr (0.795, 0.923, 0.939)
Cr (0.871, 0.414, 0.064)
Cr (0.871, 0.414, 0.436)
Cr (0.882, 0.118, 0.062)
Cr (0.882, 0.118, 0.438)
Cr (0.923, 0.795, 0.061)
Cr (0.923, 0.795, 0.439)
Cr (0.932, 0.605, 0.564)
Cr (0.932, 0.605, 0.936)
N (0.020, 0.844, 0.008)
N (0.020, 0.844, 0.492)
N (0.035, 0.610, 0.524)
N (0.035, 0.610, 0.976)
N (0.079, 0.403, 0.250)
N (0.081, 0.210, 0.750)
N (0.098, 0.304, 0.008)
N (0.098, 0.304, 0.492)
N (0.111, 0.889, 0.750)
N (0.124, 0.484, 0.514)
N (0.124, 0.484, 0.986)
N (0.142, 0.593, 0.750)
N (0.147, 0.147, 0.000)
N (0.147, 0.147, 0.500)
N (0.156, 0.980, 0.008)
N (0.156, 0.980, 0.492)
N (0.183, 0.817, 0.521)
N (0.183, 0.817, 0.979)
N (0.209, 0.653, 0.020)
N (0.209, 0.653, 0.480)
N (0.210, 0.081, 0.250)
N (0.234, 0.766, 0.250)
N (0.304, 0.098, 0.508)
N (0.304, 0.098, 0.992)
N (0.347, 0.791, 0.020)
N (0.347, 0.791, 0.480)
N (0.390, 0.965, 0.524)
N (0.390, 0.965, 0.976)
N (0.403, 0.079, 0.750)
N (0.407, 0.858, 0.750)
N (0.484, 0.124, 0.014)
N (0.484, 0.124, 0.486)
N (0.516, 0.876, 0.514)
N (0.516, 0.876, 0.986)
N (0.593, 0.142, 0.250)
N (0.597, 0.921, 0.250)
N (0.610, 0.035, 0.024)
N (0.610, 0.035, 0.476)
N (0.653, 0.209, 0.520)
N (0.653, 0.209, 0.980)
N (0.696, 0.902, 0.008)
N (0.696, 0.902, 0.492)
N (0.766, 0.234, 0.750)
N (0.790, 0.919, 0.750)
N (0.791, 0.347, 0.520)
N (0.791, 0.347, 0.980)
N (0.817, 0.183, 0.021)
N (0.817, 0.183, 0.479)
N (0.844, 0.020, 0.508)
N (0.844, 0.020, 0.992)
N (0.853, 0.853, 0.000)
N (0.853, 0.853, 0.500)
N (0.858, 0.407, 0.250)
N (0.876, 0.516, 0.014)
N (0.876, 0.516, 0.486)
N (0.889, 0.111, 0.250)
N (0.902, 0.696, 0.508)
N (0.902, 0.696, 0.992)
N (0.919, 0.790, 0.250)
N (0.921, 0.597, 0.750)
N (0.965, 0.390, 0.024)
N (0.965, 0.390, 0.476)
N (0.980, 0.156, 0.508)
N (0.980, 0.156, 0.992)

[3]
Compound: MoWC2
Source: Materials Project
Functional: GGA-PBE
Structure: relaxed

abc: 2.842 2.930 5.062
angles: 90.00 90.00 90.00
Element x y z (fractional)
Mo (0.000, 0.000, 0.000)
W (0.000, 0.500, 0.501)
C (0.500, 0.000, 0.336)
C (0.500, 0.500, 0.833)

[4]
Compound: HfMg
Source: Materials Project
Functional: GGA-PBE
Structure: relaxed

## Properties
Magnetic moment   0.00 μB/f.u.

abc: 4.048 4.048 4.048
angles: 60.00 60.00 60.00
Element x y z (fractional)
Hf (0.000, 0.000, 0.000)
Mg (0.500, 0.500, 0.500)

[5]
Compound: Al2O3
Source: Materials Project
Functional: GGA-PBE
Structure: relaxed

## Properties
Magnetic moment   0.00 μB/f.u.

abc: 9.914 10.225 10.654
angles: 92.12 90.94 91.27
Element x y z (fractional)
Al (0.000, 0.000, 0.000)
Al (0.004, 0.693, 0.154)
Al (0.088, 0.460, 0.935)
Al (0.107, 0.967, 0.654)
Al (0.121, 0.715, 0.840)
Al (0.137, 0.697, 0.567)
Al (0.158, 0.457, 0.680)
Al (0.168, 0.219, 0.515)
Al (0.193, 0.366, 0.188)
Al (0.199, 0.111, 0.216)
Al (0.224, 0.641, 0.344)
Al (0.274, 0.953, 0.412)
Al (0.303, 0.973, 0.926)
Al (0.317, 0.784, 0.113)
Al (0.325, 0.167, 0.748)
Al (0.369, 0.874, 0.663)
Al (0.376, 0.532, 0.956)
Al (0.405, 0.473, 0.488)
Al (0.424, 0.236, 0.052)
Al (0.484, 0.221, 0.483)
Al (0.499, 0.975, 0.202)
Al (0.501, 0.639, 0.241)
Al (0.552, 0.821, 0.926)
Al (0.593, 0.562, 0.733)
Al (0.644, 0.388, 0.929)
Al (0.646, 0.220, 0.726)
Al (0.652, 0.904, 0.591)
Al (0.680, 0.519, 0.453)
Al (0.699, 0.119, 0.032)
Al (0.714, 0.034, 0.367)
Al (0.770, 0.472, 0.176)
Al (0.782, 0.958, 0.803)
Al (0.792, 0.851, 0.137)
Al (0.826, 0.646, 0.929)
Al (0.869, 0.694, 0.681)
Al (0.876, 0.279, 0.499)
Al (0.888, 0.775, 0.435)
Al (0.891, 0.207, 0.214)
Al (0.956, 0.203, 0.748)
Al (0.997, 0.481, 0.373)
O (0.001, 0.604, 0.985)
O (0.018, 0.346, 0.828)
O (0.034, 0.123, 0.613)
O (0.036, 0.596, 0.681)
O (0.040, 0.645, 0.425)
O (0.045, 0.349, 0.500)
O (0.063, 0.245, 0.207)
O (0.157, 0.090, 0.384)
O (0.164, 0.474, 0.310)
O (0.165, 0.042, 0.055)
O (0.176, 0.721, 0.201)
O (0.199, 0.033, 0.794)
O (0.209, 0.793, 0.702)
O (0.217, 0.430, 0.041)
O (0.220, 0.544, 0.840)
O (0.221, 0.804, 0.959)
O (0.227, 0.294, 0.683)
O (0.240, 0.787, 0.447)
O (0.256, 0.546, 0.567)
O (0.275, 0.006, 0.578)
O (0.317, 0.245, 0.183)
O (0.322, 0.984, 0.251)
O (0.326, 0.297, 0.461)
O (0.376, 0.152, 0.910)
O (0.392, 0.572, 0.351)
O (0.404, 0.630, 0.093)
O (0.436, 0.902, 0.043)
O (0.438, 0.901, 0.814)
O (0.474, 0.805, 0.251)
O (0.479, 0.186, 0.652)
O (0.481, 0.393, 0.001)
O (0.490, 0.856, 0.553)
O (0.499, 0.637, 0.860)
O (0.544, 0.130, 0.115)
O (0.546, 0.570, 0.574)
O (0.549, 0.087, 0.395)
O (0.568, 0.370, 0.454)
O (0.592, 0.393, 0.769)
O (0.654, 0.559, 0.278)
O (0.683, 0.964, 0.939)
O (0.686, 0.963, 0.214)
O (0.694, 0.050, 0.689)
O (0.694, 0.224, 0.900)
O (0.704, 0.746, 0.020)
O (0.731, 0.816, 0.711)
O (0.751, 0.501, 0.010)
O (0.760, 0.300, 0.157)
O (0.763, 0.908, 0.462)
O (0.769, 0.586, 0.777)
O (0.796, 0.653, 0.520)
O (0.813, 0.266, 0.653)
O (0.829, 0.420, 0.414)
O (0.845, 0.158, 0.371)
O (0.872, 0.086, 0.090)
O (0.882, 0.777, 0.266)
O (0.933, 0.055, 0.844)
O (0.936, 0.532, 0.212)
O (0.945, 0.775, 0.828)
O (0.955, 0.846, 0.065)
O (0.997, 0.836, 0.576)

[6]
Compound: K3SbS3
Source: Materials Project
Functional: GGA-PBE
Structure: relaxed

## Properties
Maximum piezoelectric response   0.101 C/m2

abc: 9.602 9.602 9.602
angles: 90.00 90.00 90.00
Element x y z (fractional)
K (0.060, 0.060, 0.060)
K (0.064, 0.936, 0.436)
K (0.177, 0.323, 0.677)
K (0.323, 0.677, 0.177)
K (0.436, 0.064, 0.936)
K (0.440, 0.940, 0.560)
K (0.560, 0.440, 0.940)
K (0.564, 0.564, 0.564)
K (0.677, 0.177, 0.323)
K (0.823, 0.823, 0.823)
K (0.936, 0.436, 0.064)
K (0.940, 0.560, 0.440)
Sb (0.222, 0.722, 0.778)
Sb (0.278, 0.278, 0.278)
Sb (0.722, 0.778, 0.222)
Sb (0.778, 0.222, 0.722)
S (0.034, 0.254, 0.349)
S (0.151, 0.966, 0.754)
S (0.246, 0.651, 0.534)
S (0.254, 0.349, 0.034)
S (0.349, 0.034, 0.254)
S (0.466, 0.746, 0.849)
S (0.534, 0.246, 0.651)
S (0.651, 0.534, 0.246)
S (0.746, 0.849, 0.466)
S (0.754, 0.151, 0.966)
S (0.849, 0.466, 0.746)
S (0.966, 0.754, 0.151)

[7]
Compound: Dy3SOF5
Source: Materials Project
Functional: GGA-PBE
Structure: relaxed

## Properties
Magnetic moment   0.00 μB/f.u.

abc: 9.390 3.671 9.451
angles: 90.00 119.55 90.00
Element x y z (fractional)
Dy (0.000, 0.000, 0.000)
Dy (0.106, 0.500, 0.689)
Dy (0.284, 0.000, 0.451)
Dy (0.405, 0.500, 0.183)
Dy (0.577, 0.500, 0.871)
Dy (0.834, 0.000, 0.315)
S (0.027, 0.500, 0.247)
S (0.372, 0.000, 0.918)
O (0.085, 0.000, 0.533)
O (0.265, 0.000, 0.198)
F (0.132, 0.500, 0.960)
F (0.323, 0.500, 0.633)
F (0.429, 0.500, 0.436)
F (0.542, 0.000, 0.706)
F (0.589, 0.000, 0.312)
F (0.657, 0.500, 0.153)
F (0.749, 0.000, 0.019)
F (0.823, 0.500, 0.871)
F (0.846, 0.500, 0.469)
F (0.976, 0.000, 0.748)

[8]
Compound: ZnCdTe2
Source: Materials Project
Functional: GGA-PBE
Structure: relaxed

abc: 7.816 7.816 7.816
angles: 131.41 131.41 71.16
Element x y z (fractional)
Zn (0.000, 0.000, 0.000)
Zn (0.750, 0.250, 0.500)
Cd (0.250, 0.750, 0.500)
Cd (0.500, 0.500, 0.000)
Te (0.102, 0.125, 0.477)
Te (0.375, 0.898, 0.023)
Te (0.648, 0.625, 0.523)
Te (0.875, 0.352, 0.977)

We obtain formation energy from the elements values of -2.236; -0.093; -0.102; 0.970; -3.237; -1.197; -4.066; -0.673 eV per atom for the records listed above, in that order.